(1)
Below is a relaxed structure of Li4MnO2F2, with properties calculated at the PBE with a Hubbard U level.

a = 5.026 Å, b = 6.082 Å, c = 6.127 Å
α = 100.51°, β = 90.00°, γ = 90.00°
Element x y z (fractional)
Li  0.476  0.836  0.077
Li  0.976  0.164  0.423
Li  0.024  0.836  0.577
Li  0.524  0.164  0.923
Li  0.992  0.610  0.203
Li  0.492  0.390  0.297
Li  0.508  0.610  0.703
Li  0.008  0.390  0.797
Mn  0.500  0.000  0.500
Mn  0.000  0.001  0.000
O  0.684  0.117  0.206
O  0.184  0.883  0.294
O  0.816  0.117  0.706
O  0.316  0.883  0.794
F  0.235  0.379  0.053
F  0.735  0.620  0.447
F  0.265  0.379  0.553
F  0.765  0.620  0.947

Values from the calculation:
symmetry = No. 4

(2)
Below is a relaxed structure of Cs6Fe2O5, with properties calculated at the PBE with a Hubbard U level.

a = 7.320 Å, b = 7.320 Å, c = 7.483 Å
α = 87.10°, β = 87.10°, γ = 117.67°
Element x y z (fractional)
Cs  0.992  0.992  0.366
Cs  0.703  0.703  0.996
Cs  0.596  0.109  0.684
Cs  0.109  0.596  0.684
Cs  0.566  0.140  0.181
Cs  0.140  0.566  0.181
Fe  0.162  0.162  0.878
Fe  0.552  0.552  0.510
O  0.389  0.389  0.730
O  0.513  0.775  0.410
O  0.775  0.513  0.410
O  0.184  0.922  0.958
O  0.922  0.184  0.958

Values from the calculation:
piezoelectric modulus e_max = 0.27 C/m²
offset from the most stable computed form = 6 kJ/mol of formula units
symmetry = No. 8

(3)
Below is a relaxed structure of LiCo4O5, with properties calculated at the PBE with a Hubbard U level.

a = 5.189 Å, b = 5.189 Å, c = 5.189 Å
α = 99.38°, β = 99.38°, γ = 132.37°
Element x y z (fractional)
Li  0.000  0.000  0.000
Co  0.599  0.204  0.802
Co  0.204  0.401  0.605
Co  0.796  0.599  0.395
Co  0.401  0.796  0.198
O  0.692  0.892  0.584
O  0.308  0.108  0.416
O  0.892  0.308  0.201
O  0.500  0.500  0.000
O  0.108  0.692  0.799

Values from the calculation:
symmetry = No. 87

(4)
Below is a relaxed structure of Li2VO2F2, with properties calculated at the PBE with a Hubbard U level.

a = 6.320 Å, b = 7.675 Å, c = 7.674 Å
α = 60.57°, β = 69.60°, γ = 69.60°
Element x y z (fractional)
Li  0.783  0.506  0.265
Li  0.783  0.006  0.765
Li  0.216  0.486  0.744
Li  0.217  0.986  0.244
Li  0.592  0.675  0.933
Li  0.592  0.175  0.433
Li  0.408  0.317  0.075
Li  0.407  0.817  0.575
V  0.206  0.061  0.820
V  0.794  0.930  0.188
V  0.206  0.562  0.320
V  0.794  0.430  0.688
O  0.146  0.840  0.098
O  0.146  0.340  0.598
O  0.854  0.151  0.910
O  0.854  0.651  0.410
O  0.492  0.465  0.224
O  0.492  0.965  0.724
O  0.508  0.527  0.785
O  0.508  0.027  0.285
F  0.724  0.795  0.054
F  0.724  0.295  0.554
F  0.276  0.197  0.955
F  0.276  0.696  0.455
F  0.889  0.557  0.815
F  0.889  0.057  0.315
F  0.111  0.435  0.192
F  0.111  0.935  0.692

Values from the calculation:
offset from the most stable computed form = 32 kJ/mol of formula units

(5)
Below is a relaxed structure of SrYCoO4, with properties calculated at the PBE with a Hubbard U level.

a = 6.827 Å, b = 7.656 Å, c = 8.496 Å
α = 116.01°, β = 68.14°, γ = 106.15°
Element x y z (fractional)
Sr  0.292  0.412  0.177
Sr  0.296  0.911  0.174
Sr  0.293  0.156  0.675
Sr  0.298  0.667  0.677
Y  0.726  0.566  0.808
Y  0.725  0.114  0.823
Y  0.708  0.340  0.324
Y  0.716  0.849  0.327
Co  0.968  0.997  0.012
Co  0.977  0.746  0.501
Co  0.005  0.500  0.001
Co  0.016  0.253  0.494
O  0.675  0.426  0.067
O  0.663  0.004  0.156
O  0.677  0.233  0.595
O  0.666  0.663  0.512
O  0.377  0.556  0.908
O  0.380  0.030  0.890
O  0.354  0.294  0.415
O  0.365  0.808  0.421
O  0.001  0.377  0.752
O  0.884  0.861  0.778
O  0.008  0.125  0.257
O  0.011  0.625  0.236
O  0.957  0.748  0.006
O  0.001  0.237  0.995
O  0.995  0.511  0.506
O  0.966  0.993  0.513

Values from the calculation:
offset from the most stable computed form = 9 kJ/mol of formula units
symmetry = No. 1

(6)
Below is a relaxed structure of Ba3Fe2TeO9, with properties calculated at the PBE with a Hubbard U level.

a = 5.863 Å, b = 5.863 Å, c = 14.460 Å
α = 90.00°, β = 90.00°, γ = 120.00°
Element x y z (fractional)
Ba  0.667  0.333  0.586
Ba  0.333  0.667  0.405
Ba  0.333  0.667  0.086
Ba  0.667  0.333  0.905
Ba  0.000  0.000  0.753
Ba  0.000  0.000  0.253
Fe  0.000  0.000  0.492
Fe  0.000  0.000  0.992
Fe  0.667  0.333  0.355
Fe  0.333  0.667  0.855
Te  0.333  0.667  0.659
Te  0.667  0.333  0.159
O  0.483  0.967  0.745
O  0.483  0.517  0.745
O  0.033  0.517  0.745
O  0.517  0.033  0.245
O  0.517  0.483  0.245
O  0.967  0.483  0.245
O  0.172  0.345  0.585
O  0.172  0.828  0.585
O  0.655  0.828  0.585
O  0.834  0.669  0.420
O  0.834  0.166  0.420
O  0.331  0.166  0.420
O  0.828  0.655  0.085
O  0.828  0.172  0.085
O  0.345  0.172  0.085
O  0.166  0.331  0.920
O  0.166  0.834  0.920
O  0.669  0.834  0.920

Values from the calculation:
symmetry = No. 186

(7)
Below is a relaxed structure of Nb2Co3P4O28, with properties calculated at the PBE with a Hubbard U level.

a = 10.997 Å, b = 5.313 Å, c = 19.436 Å
α = 76.60°, β = 90.00°, γ = 90.00°
Element x y z (fractional)
Nb  0.703  0.284  0.971
Nb  0.797  0.284  0.471
Nb  0.297  0.716  0.029
Nb  0.203  0.716  0.529
Co  0.000  0.000  0.000
Co  0.500  0.000  0.500
Co  0.848  0.786  0.727
Co  0.652  0.786  0.227
Co  0.152  0.214  0.273
Co  0.348  0.214  0.773
P  0.819  0.871  0.882
P  0.681  0.871  0.382
P  0.181  0.129  0.118
P  0.319  0.129  0.618
P  0.899  0.704  0.575
P  0.601  0.704  0.075
P  0.101  0.296  0.425
P  0.399  0.296  0.925
O  0.854  0.178  0.005
O  0.646  0.178  0.505
O  0.146  0.822  0.995
O  0.354  0.822  0.495
O  0.852  0.969  0.802
O  0.648  0.969  0.302
O  0.148  0.031  0.198
O  0.352  0.031  0.698
O  0.034  0.635  0.582
O  0.466  0.635  0.082
O  0.966  0.365  0.418
O  0.534  0.365  0.918
O  0.834  0.537  0.531
O  0.666  0.537  0.031
O  0.166  0.463  0.469
O  0.334  0.463  0.969
O  0.942  0.867  0.922
O  0.558  0.867  0.422
O  0.058  0.133  0.078
O  0.442  0.133  0.578
O  0.768  0.594  0.897
O  0.732  0.594  0.397
O  0.232  0.406  0.103
O  0.268  0.406  0.603
O  0.724  0.055  0.901
O  0.776  0.055  0.401
O  0.276  0.945  0.099
O  0.224  0.945  0.599
O  0.883  0.994  0.538
O  0.617  0.994  0.038
O  0.117  0.006  0.462
O  0.383  0.006  0.962
O  0.829  0.635  0.647
O  0.671  0.635  0.147
O  0.171  0.365  0.353
O  0.329  0.365  0.853
O  0.056  0.281  0.943
O  0.444  0.281  0.443
O  0.944  0.719  0.057
O  0.556  0.719  0.557
O  0.932  0.528  0.775
O  0.568  0.528  0.275
O  0.068  0.472  0.225
O  0.432  0.472  0.725
O  0.766  0.063  0.678
O  0.734  0.063  0.178
O  0.234  0.937  0.322
O  0.266  0.937  0.822
O  0.958  0.006  0.682
O  0.542  0.006  0.182
O  0.042  0.994  0.318
O  0.458  0.994  0.818
O  0.732  0.575  0.768
O  0.768  0.575  0.268
O  0.268  0.425  0.232
O  0.232  0.425  0.732

Values from the calculation:
symmetry = No. 14

(8)
Below is a relaxed structure of BaSrCeFeO6, with properties calculated at the PBE with a Hubbard U level.

a = 5.925 Å, b = 5.925 Å, c = 5.925 Å
α = 60.00°, β = 60.00°, γ = 60.00°
Element x y z (fractional)
Ba  0.750  0.750  0.750
Sr  0.250  0.250  0.250
Ce  0.000  0.000  0.000
Fe  0.500  0.500  0.500
O  0.737  0.263  0.263
O  0.263  0.737  0.737
O  0.737  0.263  0.737
O  0.263  0.737  0.263
O  0.737  0.737  0.263
O  0.263  0.263  0.737

Values from the calculation:
symmetry = No. 216

Calculated formation energy, -2443; -1403; -1340; -2789; -2719; -2345; -1547; -2847 meV/atom (same order as the records).
Calculated total DFT energy (no corrections), -0.396; -0.324; -0.430; -0.443; -0.522; -0.465; -0.466; -0.513 Ry per atom (same order as the records).